Record 1
Computed, not measured: a geometry-optimized BaRu6O12 structure at the PBE level of DFT.

Cell: 9.967 9.967 9.502 Å, 90.00 90.00 90.00°
Atoms (fractional coordinates):
Ba: 0.250 0.250 0.125
Ba: 0.250 0.250 0.705
Ba: 0.750 0.750 0.295
Ba: 0.750 0.750 0.875
Ru: 0.081 0.896 0.583
Ru: 0.081 0.903 0.919
Ru: 0.084 0.897 0.249
Ru: 0.097 0.581 0.081
Ru: 0.103 0.584 0.751
Ru: 0.104 0.581 0.417
Ru: 0.396 0.919 0.417
Ru: 0.397 0.916 0.751
Ru: 0.403 0.919 0.081
Ru: 0.416 0.603 0.249
Ru: 0.419 0.597 0.919
Ru: 0.419 0.604 0.583
Ru: 0.581 0.396 0.417
Ru: 0.581 0.403 0.081
Ru: 0.584 0.397 0.751
Ru: 0.597 0.081 0.919
Ru: 0.603 0.084 0.249
Ru: 0.604 0.081 0.583
Ru: 0.896 0.419 0.583
Ru: 0.897 0.416 0.249
Ru: 0.903 0.419 0.919
Ru: 0.916 0.103 0.751
Ru: 0.919 0.097 0.081
Ru: 0.919 0.104 0.417
O: 0.051 0.100 0.249
O: 0.051 0.100 0.585
O: 0.057 0.109 0.916
O: 0.090 0.706 0.916
O: 0.091 0.702 0.250
O: 0.094 0.702 0.584
O: 0.100 0.449 0.249
O: 0.100 0.449 0.585
O: 0.109 0.443 0.916
O: 0.202 0.906 0.416
O: 0.202 0.909 0.750
O: 0.206 0.910 0.084
O: 0.294 0.590 0.084
O: 0.298 0.591 0.750
O: 0.298 0.594 0.416
O: 0.391 0.057 0.916
O: 0.400 0.051 0.249
O: 0.400 0.051 0.585
O: 0.406 0.798 0.584
O: 0.409 0.798 0.250
O: 0.410 0.794 0.916
O: 0.443 0.391 0.916
O: 0.449 0.400 0.249
O: 0.449 0.400 0.585
O: 0.551 0.600 0.415
O: 0.551 0.600 0.751
O: 0.557 0.609 0.084
O: 0.590 0.206 0.084
O: 0.591 0.202 0.750
O: 0.594 0.202 0.416
O: 0.600 0.949 0.415
O: 0.600 0.949 0.751
O: 0.609 0.943 0.084
O: 0.702 0.406 0.584
O: 0.702 0.409 0.250
O: 0.706 0.410 0.916
O: 0.794 0.090 0.916
O: 0.798 0.091 0.250
O: 0.798 0.094 0.584
O: 0.891 0.557 0.084
O: 0.900 0.551 0.415
O: 0.900 0.551 0.751
O: 0.906 0.298 0.416
O: 0.909 0.298 0.750
O: 0.910 0.294 0.084
O: 0.943 0.891 0.084
O: 0.949 0.900 0.415
O: 0.949 0.900 0.751

Properties
The value obtained for the electronic total energy is -7.31 eV per atom. The calculation puts the total moment at 0.00 μB per formula unit. The volume is 944 Å³ per cell. Its symmetry is No. 85.

***

Record 2
Computed, not measured: a geometry-optimized BaRuO3 structure at the PBE level of DFT.

Cell: 5.816 5.816 9.625 Å, 90.00 90.00 120.00°
Atoms (fractional coordinates):
Ba: 0.000 0.000 0.000
Ba: 0.000 0.000 0.500
Ba: 0.333 0.667 0.250
Ba: 0.667 0.333 0.750
Ru: 0.333 0.667 0.617
Ru: 0.333 0.667 0.883
Ru: 0.667 0.333 0.117
Ru: 0.667 0.333 0.383
O: 0.000 0.500 0.000
O: 0.000 0.500 0.500
O: 0.178 0.356 0.750
O: 0.178 0.822 0.750
O: 0.356 0.178 0.250
O: 0.500 0.000 0.000
O: 0.500 0.000 0.500
O: 0.500 0.500 0.000
O: 0.500 0.500 0.500
O: 0.644 0.822 0.750
O: 0.822 0.178 0.250
O: 0.822 0.644 0.250

Properties
The value obtained for the electronic total energy is -6.98 eV per atom. The volume is 282 Å³ per cell. Its symmetry is No. 194.

***

Record 3
Computed, not measured: a geometry-optimized BaRuO3 structure at the PBE level of DFT.

Cell: 5.799 5.799 14.253 Å, 90.00 90.00 120.00°
Atoms (fractional coordinates):
Ba: 0.000 0.000 0.250
Ba: 0.000 0.000 0.750
Ba: 0.333 0.667 0.088
Ba: 0.333 0.667 0.412
Ba: 0.667 0.333 0.588
Ba: 0.667 0.333 0.912
Ru: 0.000 0.000 0.000
Ru: 0.000 0.000 0.500
Ru: 0.333 0.667 0.661
Ru: 0.333 0.667 0.839
Ru: 0.667 0.333 0.161
Ru: 0.667 0.333 0.339
O: 0.022 0.511 0.750
O: 0.165 0.330 0.580
O: 0.165 0.330 0.920
O: 0.165 0.835 0.580
O: 0.165 0.835 0.920
O: 0.330 0.165 0.080
O: 0.330 0.165 0.420
O: 0.489 0.511 0.750
O: 0.489 0.978 0.750
O: 0.511 0.022 0.250
O: 0.511 0.489 0.250
O: 0.670 0.835 0.580
O: 0.670 0.835 0.920
O: 0.835 0.165 0.080
O: 0.835 0.165 0.420
O: 0.835 0.670 0.080
O: 0.835 0.670 0.420
O: 0.978 0.489 0.250

Properties
The value obtained for the electronic total energy is -6.96 eV per atom. The calculation puts the total moment at 1.22 μB per formula unit. The volume is 415 Å³ per cell. Its symmetry is No. 194.

***

Record 4
Computed, not measured: a geometry-optimized Ba3SmRu2O9 structure at the PBE level of DFT.

Cell: 5.994 5.994 14.791 Å, 90.00 90.00 120.00°
Atoms (fractional coordinates):
Ba: 0.000 0.000 0.250
Ba: 0.000 0.000 0.750
Ba: 0.333 0.667 0.099
Ba: 0.333 0.667 0.401
Ba: 0.667 0.333 0.599
Ba: 0.667 0.333 0.901
Sm: 0.000 0.000 0.000
Sm: 0.000 0.000 0.500
Ru: 0.333 0.667 0.666
Ru: 0.333 0.667 0.834
Ru: 0.667 0.333 0.166
Ru: 0.667 0.333 0.334
O: 0.019 0.509 0.750
O: 0.178 0.355 0.591
O: 0.178 0.355 0.909
O: 0.178 0.822 0.591
O: 0.178 0.822 0.909
O: 0.355 0.178 0.091
O: 0.355 0.178 0.409
O: 0.491 0.509 0.750
O: 0.491 0.981 0.750
O: 0.509 0.019 0.250
O: 0.509 0.491 0.250
O: 0.645 0.822 0.591
O: 0.645 0.822 0.909
O: 0.822 0.178 0.091
O: 0.822 0.178 0.409
O: 0.822 0.645 0.091
O: 0.822 0.645 0.409
O: 0.981 0.491 0.250

Properties
The value obtained for the electronic total energy is -7.09 eV per atom. The calculation puts the total moment at 2.99 μB per formula unit. The volume is 460 Å³ per cell. Its symmetry is No. 194.

***

Record 5
Computed, not measured: a geometry-optimized Ba3SrRu2O9 structure at the PBE level of DFT.

Cell: 6.039 6.039 15.350 Å, 91.06 91.06 119.50°
Atoms (fractional coordinates):
Ba: 0.007 0.993 0.750
Ba: 0.326 0.653 0.395
Ba: 0.347 0.674 0.105
Ba: 0.653 0.326 0.895
Ba: 0.674 0.347 0.605
Ba: 0.993 0.007 0.250
Sr: 0.000 0.000 0.000
Sr: 0.000 0.000 0.500
Ru: 0.308 0.644 0.841
Ru: 0.356 0.692 0.659
Ru: 0.644 0.308 0.341
Ru: 0.692 0.356 0.159
O: 0.041 0.519 0.735
O: 0.115 0.771 0.898
O: 0.124 0.313 0.889
O: 0.229 0.422 0.573
O: 0.229 0.885 0.602
O: 0.313 0.124 0.389
O: 0.422 0.229 0.073
O: 0.481 0.959 0.765
O: 0.484 0.516 0.750
O: 0.516 0.484 0.250
O: 0.519 0.041 0.235
O: 0.578 0.771 0.927
O: 0.687 0.876 0.611
O: 0.771 0.115 0.398
O: 0.771 0.578 0.427
O: 0.876 0.687 0.111
O: 0.885 0.229 0.102
O: 0.959 0.481 0.265

Properties
The value obtained for the electronic total energy is -6.72 eV per atom. The volume is 487 Å³ per cell. Its symmetry is No. 15.

***

Record 6
Computed, not measured: a geometry-optimized Ba2TmRuO6 structure at the PBE level of DFT.

Cell: 5.931 5.931 5.931 Å, 60.00 60.00 60.00°
Atoms (fractional coordinates):
Ba: 0.250 0.250 0.250
Ba: 0.750 0.750 0.750
Tm: 0.000 0.000 0.000
Ru: 0.500 0.500 0.500
O: 0.263 0.263 0.737
O: 0.263 0.737 0.263
O: 0.263 0.737 0.737
O: 0.737 0.263 0.263
O: 0.737 0.263 0.737
O: 0.737 0.737 0.263

Properties
The value obtained for the electronic total energy is -7.19 eV per atom. The calculation puts the total moment at 3.00 μB per formula unit. The volume is 148 Å³ per cell. Its symmetry is No. 225.

***

Record 7
Computed, not measured: a geometry-optimized Ba2YRuO6 structure at the PBE level of DFT.

Cell: 5.978 5.978 5.978 Å, 60.00 60.00 60.00°
Atoms (fractional coordinates):
Ba: 0.250 0.250 0.250
Ba: 0.750 0.750 0.750
Y: 0.000 0.000 0.000
Ru: 0.500 0.500 0.500
O: 0.265 0.265 0.735
O: 0.265 0.735 0.265
O: 0.265 0.735 0.735
O: 0.735 0.265 0.265
O: 0.735 0.265 0.735
O: 0.735 0.735 0.265

Properties
The value obtained for the electronic total energy is -7.35 eV per atom. The calculation puts the total moment at 3.00 μB per formula unit. The volume is 151 Å³ per cell. Its symmetry is No. 225.

***

Record 8
Computed, not measured: a geometry-optimized BaZnRu5O11 structure at the PBE level of DFT.

Cell: 11.869 11.869 13.945 Å, 90.00 90.00 120.00°
Atoms (fractional coordinates):
Ba: 0.160 0.829 0.250
Ba: 0.171 0.330 0.250
Ba: 0.330 0.160 0.750
Ba: 0.333 0.667 0.750
Ba: 0.667 0.333 0.250
Ba: 0.670 0.840 0.250
Ba: 0.829 0.670 0.750
Ba: 0.840 0.171 0.750
Zn: 0.158 0.827 0.750
Zn: 0.173 0.331 0.750
Zn: 0.331 0.158 0.250
Zn: 0.333 0.667 0.250
Zn: 0.667 0.333 0.750
Zn: 0.669 0.842 0.750
Zn: 0.827 0.669 0.250
Zn: 0.842 0.173 0.250
Ru: 0.000 0.000 0.149
Ru: 0.000 0.000 0.351
Ru: 0.000 0.000 0.649
Ru: 0.000 0.000 0.851
Ru: 0.001 0.496 0.651
Ru: 0.001 0.496 0.849
Ru: 0.028 0.267 0.001
Ru: 0.028 0.267 0.499
Ru: 0.240 0.972 0.001
Ru: 0.240 0.972 0.499
Ru: 0.245 0.490 0.501
Ru: 0.245 0.490 0.999
Ru: 0.245 0.755 0.501
Ru: 0.245 0.755 0.999
Ru: 0.267 0.240 0.501
Ru: 0.267 0.240 0.999
Ru: 0.490 0.245 0.001
Ru: 0.490 0.245 0.499
Ru: 0.495 0.999 0.651
Ru: 0.495 0.999 0.849
Ru: 0.496 0.495 0.151
Ru: 0.496 0.495 0.349
Ru: 0.504 0.505 0.651
Ru: 0.504 0.505 0.849
Ru: 0.505 0.001 0.151
Ru: 0.505 0.001 0.349
Ru: 0.510 0.755 0.501
Ru: 0.510 0.755 0.999
Ru: 0.733 0.760 0.001
Ru: 0.733 0.760 0.499
Ru: 0.755 0.245 0.001
Ru: 0.755 0.245 0.499
Ru: 0.755 0.510 0.001
Ru: 0.755 0.510 0.499
Ru: 0.760 0.028 0.501
Ru: 0.760 0.028 0.999
Ru: 0.972 0.733 0.501
Ru: 0.972 0.733 0.999
Ru: 0.999 0.504 0.151
Ru: 0.999 0.504 0.349
O: 0.060 0.916 0.750
O: 0.069 0.897 0.077
O: 0.069 0.897 0.423
O: 0.071 0.641 0.750
O: 0.074 0.665 0.072
O: 0.074 0.665 0.428
O: 0.080 0.425 0.750
O: 0.084 0.144 0.750
O: 0.092 0.423 0.089
O: 0.092 0.423 0.411
O: 0.103 0.171 0.077
O: 0.103 0.171 0.423
O: 0.141 0.812 0.583
O: 0.141 0.812 0.917
O: 0.144 0.060 0.250
O: 0.147 0.587 0.250
O: 0.170 0.586 0.576
O: 0.170 0.586 0.924
O: 0.171 0.069 0.577
O: 0.171 0.069 0.923
O: 0.188 0.328 0.583
O: 0.188 0.328 0.917
O: 0.328 0.141 0.083
O: 0.328 0.141 0.417
O: 0.331 0.908 0.089
O: 0.331 0.908 0.411
O: 0.333 0.667 0.072
O: 0.333 0.667 0.428
O: 0.335 0.409 0.072
O: 0.335 0.409 0.428
O: 0.344 0.920 0.750
O: 0.359 0.430 0.750
O: 0.409 0.074 0.572
O: 0.409 0.074 0.928
O: 0.413 0.560 0.250
O: 0.414 0.584 0.576
O: 0.414 0.584 0.924
O: 0.416 0.830 0.576
O: 0.416 0.830 0.924
O: 0.423 0.331 0.589
O: 0.423 0.331 0.911
O: 0.425 0.344 0.250
O: 0.430 0.071 0.250
O: 0.440 0.853 0.250
O: 0.560 0.147 0.750
O: 0.570 0.929 0.750
O: 0.575 0.656 0.750
O: 0.577 0.669 0.089
O: 0.577 0.669 0.411
O: 0.584 0.170 0.076
O: 0.584 0.170 0.424
O: 0.586 0.416 0.076
O: 0.586 0.416 0.424
O: 0.587 0.440 0.750
O: 0.591 0.926 0.072
O: 0.591 0.926 0.428
O: 0.641 0.570 0.250
O: 0.656 0.080 0.250
O: 0.665 0.591 0.572
O: 0.665 0.591 0.928
O: 0.667 0.333 0.572
O: 0.667 0.333 0.928
O: 0.669 0.092 0.589
O: 0.669 0.092 0.911
O: 0.672 0.859 0.583
O: 0.672 0.859 0.917
O: 0.812 0.672 0.083
O: 0.812 0.672 0.417
O: 0.829 0.931 0.077
O: 0.829 0.931 0.423
O: 0.830 0.414 0.076
O: 0.830 0.414 0.424
O: 0.853 0.413 0.750
O: 0.856 0.940 0.750
O: 0.859 0.188 0.083
O: 0.859 0.188 0.417
O: 0.897 0.829 0.577
O: 0.897 0.829 0.923
O: 0.908 0.577 0.589
O: 0.908 0.577 0.911
O: 0.916 0.856 0.250
O: 0.920 0.575 0.250
O: 0.926 0.335 0.572
O: 0.926 0.335 0.928
O: 0.929 0.359 0.250
O: 0.931 0.103 0.577
O: 0.931 0.103 0.923
O: 0.940 0.084 0.250

Properties
The value obtained for the electronic total energy is -6.98 eV per atom. The calculation puts the total moment at 0.64 μB per formula unit. The volume is 1701 Å³ per cell. Its symmetry is No. 176.

***

Record 9
Computed, not measured: a geometry-optimized Ba3ZnRu2O9 structure at the PBE level of DFT.

Cell: 5.861 5.861 14.432 Å, 90.00 90.00 120.00°
Atoms (fractional coordinates):
Ba: 0.000 0.000 0.250
Ba: 0.000 0.000 0.750
Ba: 0.333 0.667 0.090
Ba: 0.333 0.667 0.410
Ba: 0.667 0.333 0.590
Ba: 0.667 0.333 0.910
Zn: 0.000 0.000 0.000
Zn: 0.000 0.000 0.500
Ru: 0.333 0.667 0.654
Ru: 0.333 0.667 0.846
Ru: 0.667 0.333 0.154
Ru: 0.667 0.333 0.346
O: 0.032 0.516 0.750
O: 0.171 0.342 0.584
O: 0.171 0.342 0.916
O: 0.171 0.829 0.584
O: 0.171 0.829 0.916
O: 0.342 0.171 0.084
O: 0.342 0.171 0.416
O: 0.484 0.516 0.750
O: 0.484 0.968 0.750
O: 0.516 0.032 0.250
O: 0.516 0.484 0.250
O: 0.658 0.829 0.584
O: 0.658 0.829 0.916
O: 0.829 0.171 0.084
O: 0.829 0.171 0.416
O: 0.829 0.658 0.084
O: 0.829 0.658 0.416
O: 0.968 0.484 0.250

Properties
The value obtained for the electronic total energy is -6.49 eV per atom. The calculation puts the total moment at 6.00 μB per formula unit. The volume is 429 Å³ per cell. Its symmetry is No. 194.

***

- Look up the electronic total energy of the eighth one.
  -6.98 eV per atom

***

Please write out number 5 again, unchanged.
Computed, not measured: a geometry-optimized Ba3SrRu2O9 structure at the PBE level of DFT.

Cell: 6.039 6.039 15.350 Å, 91.06 91.06 119.50°
Atoms (fractional coordinates):
Ba: 0.007 0.993 0.750
Ba: 0.326 0.653 0.395
Ba: 0.347 0.674 0.105
Ba: 0.653 0.326 0.895
Ba: 0.674 0.347 0.605
Ba: 0.993 0.007 0.250
Sr: 0.000 0.000 0.000
Sr: 0.000 0.000 0.500
Ru: 0.308 0.644 0.841
Ru: 0.356 0.692 0.659
Ru: 0.644 0.308 0.341
Ru: 0.692 0.356 0.159
O: 0.041 0.519 0.735
O: 0.115 0.771 0.898
O: 0.124 0.313 0.889
O: 0.229 0.422 0.573
O: 0.229 0.885 0.602
O: 0.313 0.124 0.389
O: 0.422 0.229 0.073
O: 0.481 0.959 0.765
O: 0.484 0.516 0.750
O: 0.516 0.484 0.250
O: 0.519 0.041 0.235
O: 0.578 0.771 0.927
O: 0.687 0.876 0.611
O: 0.771 0.115 0.398
O: 0.771 0.578 0.427
O: 0.876 0.687 0.111
O: 0.885 0.229 0.102
O: 0.959 0.481 0.265

Properties
The value obtained for the electronic total energy is -6.72 eV per atom. The volume is 487 Å³ per cell. Its symmetry is No. 15.